8
Lattice="6.050 0.000 0.000 0.000 6.050 0.000 0.000 0.000 6.050" Properties=species:S:1:pos:R:3 comment="Li3NbS4 | the Materials Project | r²SCAN | optimized geometry" e_tot_ev_per_cell=-74.31 e_above_lowest_polymorph_mev_per_atom=51 formation_enthalpy_0k_ev_per_fu=-10.28 total_magnetization_mub_per_cell=0.00 crystal_system=cubic pbc="T T T"
Li 0.000 0.000 3.025
Li 0.000 3.025 0.000
Li 3.025 0.000 0.000
Nb 0.000 0.000 0.000
S 1.317 1.317 1.317
S 1.317 4.734 4.734
S 4.734 1.317 4.734
S 4.734 4.734 1.317

---

32
Lattice="-5.156 5.156 5.156 5.156 -5.156 5.156 5.156 5.156 -5.156" Properties=species:S:1:pos:R:3 comment="Li3NbS4 | the Materials Project | r²SCAN | optimized geometry" e_tot_ev_per_cell=-298.86 e_above_lowest_polymorph_mev_per_atom=0 formation_enthalpy_0k_ev_per_fu=-10.68 total_magnetization_mub_per_cell=0.00 crystal_system=cubic pbc="T T T"
Li 3.799 1.349 -1.349
Li 3.799 -1.349 1.349
Li 1.349 3.799 -1.349
Li 1.349 -1.349 3.799
Li 6.512 1.349 1.349
Li -1.349 3.799 1.349
Li -1.349 1.349 3.799
Li 3.807 3.807 1.357
Li 3.807 1.357 3.807
Li 1.357 3.807 3.807
Li 1.349 6.512 1.349
Li 1.349 1.349 6.512
Nb 3.702 3.702 -3.702
Nb 3.702 -3.702 3.702
Nb 1.454 1.454 1.454
Nb -3.702 3.702 3.702
S 1.181 1.181 -1.181
S 1.181 -1.181 1.181
S 6.547 1.247 -1.247
S 6.547 -1.247 1.247
S -1.181 1.181 1.181
S 3.764 1.247 1.247
S 3.909 3.909 -1.392
S 3.909 -1.392 3.909
S 1.247 3.764 1.247
S 1.247 1.247 3.764
S 1.247 6.547 -1.247
S 1.247 -1.247 6.547
S -1.247 6.547 1.247
S -1.247 1.247 6.547
S -1.392 3.909 3.909
S 3.975 3.975 3.975

---

8
Lattice="3.533 0.000 0.000 -1.767 3.060 0.000 0.000 0.000 13.542" Properties=species:S:1:pos:R:3 comment="LiNbSe2 | the Materials Project | r²SCAN | optimized geometry" e_tot_ev_per_cell=-121.38 formation_enthalpy_0k_ev_per_fu=-4.95 total_magnetization_mub_per_cell=0.00 crystal_system=hexagonal pbc="T T T"
Li 0.000 0.000 0.000
Li 0.000 0.000 6.771
Nb 0.000 0.000 3.386
Nb 0.000 0.000 10.157
Se 0.000 2.040 1.719
Se 0.000 2.040 5.052
Se 1.767 1.020 8.490
Se 1.767 1.020 11.823

---

4
Lattice="0.000 3.566 3.566 3.566 0.000 3.566 3.566 3.566 0.000" Properties=species:S:1:pos:R:3 comment="LiNd2Os | the Materials Project | r²SCAN | optimized geometry" e_tot_ev_per_cell=-114.67 formation_enthalpy_0k_ev_per_fu=-0.46 total_magnetization_mub_per_cell=0.00 crystal_system=cubic pbc="T T T"
Li 0.000 0.000 0.000
Nd 1.783 1.783 1.783
Nd 5.348 5.348 5.348
Os 3.566 3.566 3.566

---

4
Lattice="0.000 3.574 3.574 3.574 0.000 3.574 3.574 3.574 0.000" Properties=species:S:1:pos:R:3 comment="LiNd2Ru | the Materials Project | r²SCAN | optimized geometry" e_tot_ev_per_cell=-87.25 formation_enthalpy_0k_ev_per_fu=-0.60 total_magnetization_mub_per_cell=0.00 crystal_system=cubic pbc="T T T"
Li 0.000 0.000 0.000
Nd 1.787 1.787 1.787
Nd 5.361 5.361 5.361
Ru 3.574 3.574 3.574

---

6
Lattice="4.593 0.000 0.000 -2.297 3.978 0.000 0.000 0.000 7.346" Properties=species:S:1:pos:R:3 comment="Li3NdSb2 | the Materials Project | r²SCAN | optimized geometry" e_tot_ev_per_cell=-94.00 formation_enthalpy_0k_ev_per_fu=-6.01 total_magnetization_mub_per_cell=0.00 crystal_system=trigonal pbc="T T T"
Li 0.000 0.000 0.000
Li 0.000 2.652 1.077
Li 2.297 1.326 6.268
Nd 0.000 0.000 3.673
Sb 0.000 2.652 5.549
Sb 2.297 1.326 1.796